Entry 1:
{
  "formula": "Li7Mn2Co3O12",
  "functional": "PBE with a Hubbard U",
  "state": "optimized geometry",
  "space_group": "Pm (6)",
  "crystal_system": "monoclinic",
  "formation_energy_ev_per_atom": -1.795,
  "volume_a3_per_cell": 213.68,
  "corrected_energy_ev_per_atom": -6.478,
  "lattice": [[5.104, 0.000, 0.000], [0.000, 2.921, 0.000], [-0.250, 0.000, 14.333]],
  "species": ["Li", "Li", "Li", "Li", "Li", "Li", "Li", "Mn", "Mn", "Co", "Co", "Co", "O", "O", "O", "O", "O", "O", "O", "O", "O", "O", "O", "O"],
  "frac_coords": [[0.000, 0.000, 0.000], [0.010, 0.000, 0.500], [0.167, 0.500, 0.658], [0.349, 0.000, 0.339], [0.522, 0.500, 0.997], [0.682, 0.000, 0.655], [0.846, 0.500, 0.342], [0.178, 0.500, 0.167], [0.343, 0.000, 0.831], [0.511, 0.500, 0.499], [0.678, 0.000, 0.167], [0.844, 0.500, 0.830], [0.034, 0.000, 0.753], [0.038, 0.000, 0.243], [0.199, 0.500, 0.906], [0.223, 0.500, 0.426], [0.314, 0.000, 0.091], [0.363, 0.000, 0.574], [0.487, 0.500, 0.757], [0.495, 0.500, 0.240], [0.656, 0.000, 0.909], [0.664, 0.000, 0.423], [0.800, 0.500, 0.573], [0.862, 0.500, 0.089]]
}

=====

Entry 2:
{
  "formula": "Li3MnCoO5",
  "functional": "PBE with a Hubbard U",
  "state": "optimized geometry",
  "space_group": "Cm (8)",
  "crystal_system": "monoclinic",
  "formation_energy_ev_per_atom": -1.895,
  "volume_a3_per_cell": 179.46,
  "corrected_energy_ev_per_atom": -6.568,
  "lattice": [[6.380, -1.452, 0.000], [6.380, 1.452, 0.000], [-1.868, 0.000, 9.687]],
  "species": ["Li", "Li", "Li", "Li", "Li", "Li", "Mn", "Mn", "Co", "Co", "O", "O", "O", "O", "O", "O", "O", "O", "O", "O"],
  "frac_coords": [[0.000, 0.000, 0.000], [0.192, 0.192, 0.588], [0.402, 0.402, 0.200], [0.502, 0.502, 0.498], [0.596, 0.596, 0.779], [0.805, 0.805, 0.399], [0.699, 0.699, 0.096], [0.904, 0.904, 0.690], [0.088, 0.088, 0.308], [0.298, 0.298, 0.890], [0.039, 0.039, 0.651], [0.156, 0.156, 0.963], [0.243, 0.243, 0.225], [0.355, 0.355, 0.564], [0.442, 0.442, 0.830], [0.563, 0.563, 0.148], [0.650, 0.650, 0.431], [0.758, 0.758, 0.749], [0.839, 0.839, 0.037], [0.954, 0.954, 0.338]]
}

=====

Energy above the lowest structure with this stoichiometry
In order: 138 65
Unit: meV per atom